1.
LiLa2FeO6, relaxed, DFT PBE+U; density = 6.2 g cm⁻³; calculated formation energy = -2762 meV/atom; E_tot = -7.12 eV per atom
1.0
1.875 4.640 2.123
6.110 -3.951 2.691
2.745 1.042 -4.697
O La Fe Li
12 4 2 2
Direct
0.271 0.972 0.206
0.004 0.239 0.060
0.229 0.528 0.294
0.996 0.761 0.940
0.771 0.472 0.706
0.504 0.739 0.560
0.711 0.532 0.233
0.496 0.261 0.440
0.289 0.468 0.767
0.789 0.968 0.267
0.211 0.032 0.733
0.729 0.028 0.794
0.001 0.750 0.500
0.999 0.250 0.500
0.501 0.250 0.000
0.499 0.750 0.000
0.500 0.500 0.500
0.000 0.000 0.000
0.000 0.500 0.000
0.500 0.000 0.500

---

2.
LiLaFe4O12, relaxed, DFT PBE+U; density = 4.4 g cm⁻³; calculated formation energy = -1406 meV/atom; symmetry = Amm2, No. 38; total magnetization = 12.00 Bohr magnetons per cell; E_tot = -6.01 eV per atom
1.0
1.089 4.805 -1.838
-4.455 1.729 2.194
3.841 1.624 6.521
O Fe Li La
12 4 1 1
Direct
0.202 0.798 0.817
0.779 0.221 0.695
0.289 0.292 0.250
0.458 0.973 0.500
0.708 0.711 0.750
0.289 0.292 0.750
0.708 0.711 0.250
0.779 0.221 0.305
0.027 0.542 0.500
0.610 0.060 0.000
0.940 0.390 0.000
0.202 0.798 0.183
0.998 0.498 0.232
0.998 0.498 0.768
0.502 0.002 0.768
0.502 0.002 0.232
0.001 0.999 0.000
0.512 0.488 0.500

---

3.
LiLa4FeO8, relaxed, DFT PBE+U; density = 6.5 g cm⁻³; calculated formation energy = -3255 meV/atom; total magnetization = 0.00 Bohr magnetons per cell; E_tot = -7.68 eV per atom
1.0
-6.901 0.116 0.000
2.083 -5.061 5.474
-2.086 5.060 5.474
O Fe Li La
16 2 2 8
Direct
0.997 0.750 0.504
0.996 0.501 0.753
0.365 0.093 0.914
0.996 0.001 0.253
0.648 0.916 0.589
0.997 0.250 0.004
0.648 0.416 0.089
0.999 0.750 0.000
0.999 0.250 0.500
0.631 0.905 0.093
0.000 0.998 0.751
0.631 0.405 0.593
0.000 0.498 0.251
0.348 0.089 0.410
0.348 0.589 0.910
0.365 0.593 0.414
0.997 0.000 0.502
0.997 0.500 0.002
0.996 0.999 0.002
0.996 0.499 0.502
0.270 0.815 0.683
0.272 0.319 0.683
0.726 0.182 0.321
0.723 0.182 0.820
0.726 0.682 0.821
0.723 0.682 0.320
0.272 0.819 0.183
0.270 0.315 0.183

---

4.
LiLa2Fe2Te2O12, relaxed, DFT PBE+U; density = 5.5 g cm⁻³; calculated formation energy = -2310 meV/atom; symmetry = P1, No. 1; total magnetization = 1.01 Bohr magnetons per cell; E_tot = -6.61 eV per atom
1.0
4.527 -0.667 2.531
1.989 -4.770 0.551
5.372 1.131 -9.313
La O Fe Li Te
2 12 2 1 2
Direct
0.002 0.999 0.989
0.002 0.998 0.511
0.378 0.997 0.851
0.997 0.380 0.648
0.380 0.625 0.648
0.647 0.025 0.148
0.318 0.650 0.147
0.627 0.999 0.649
0.623 0.380 0.852
0.321 0.029 0.354
0.028 0.324 0.147
0.647 0.327 0.352
0.030 0.648 0.353
0.996 0.627 0.851
0.670 0.664 0.250
0.334 0.332 0.750
0.001 0.999 0.250
0.667 0.666 0.750
0.333 0.332 0.250

---

5.
LiLa2Fe2Te2O12, relaxed, DFT PBE+U; density = 5.5 g cm⁻³; calculated formation energy = -2311 meV/atom; symmetry = P1, No. 1; total magnetization = 9.00 Bohr magnetons per cell; E_tot = -6.61 eV per atom
1.0
4.813 1.331 1.922
0.922 -0.196 5.266
3.046 -9.744 -0.894
O Fe Te La Li
12 2 2 2 1
Direct
0.632 0.392 0.863
0.991 0.379 0.645
0.036 0.628 0.352
0.378 0.631 0.645
0.335 0.036 0.352
0.370 0.615 0.133
0.392 0.976 0.863
0.013 0.370 0.133
0.628 0.335 0.352
0.615 0.013 0.133
0.977 0.632 0.862
0.631 0.992 0.646
0.333 0.333 0.755
0.667 0.666 0.267
0.667 0.667 0.745
0.333 0.333 0.242
0.999 0.999 0.007
0.000 0.000 0.491
0.665 0.665 0.021

---

6.
La2MgFe2Mo2O12, relaxed, DFT PBE+U; density = 5.5 g cm⁻³; calculated formation energy = -2488 meV/atom; symmetry = P1, No. 1; total magnetization = 10.00 Bohr magnetons per cell; E_tot = -7.24 eV per atom
1.0
-2.714 4.076 -2.658
-0.388 -3.334 -4.329
-6.853 -2.781 2.810
Mg La O Fe Mo
1 2 12 2 2
Direct
0.960 0.986 0.745
0.040 0.005 0.248
0.448 0.486 0.751
0.303 0.713 0.478
0.805 0.804 0.035
0.815 0.816 0.470
0.717 0.296 0.953
0.015 0.609 0.750
0.475 0.062 0.249
0.699 0.290 0.546
0.191 0.187 0.940
0.286 0.692 0.026
0.990 0.430 0.252
0.560 0.920 0.751
0.193 0.194 0.558
0.504 0.994 0.002
0.987 0.500 0.499
0.508 0.992 0.496
0.991 0.504 0.003

---

7.
LaMgFeNiO6, relaxed, DFT PBE+U; density = 5.6 g cm⁻³; calculated formation energy = -2191 meV/atom; symmetry = P1, No. 1; total magnetization = 10.00 Bohr magnetons per cell; E_tot = -6.35 eV per atom; relative energy among the computed polymorphs = 0.0030 eV per atom
1.0
0.001 5.311 0.023
-0.024 0.035 7.612
5.470 0.001 -0.018
O Mg Ni Fe La
12 2 2 2 2
Direct
0.183 0.940 0.206
0.206 0.559 0.189
0.281 0.565 0.742
0.418 0.263 0.946
0.262 0.953 0.731
0.635 0.736 0.023
0.701 0.057 0.308
0.759 0.446 0.773
0.676 0.440 0.290
0.928 0.757 0.549
0.771 0.057 0.762
0.130 0.241 0.479
0.031 0.748 0.940
0.526 0.246 0.559
0.006 0.497 0.497
0.501 0.997 0.005
0.500 0.501 0.996
0.000 0.002 0.504
0.990 0.247 0.037
0.495 0.750 0.464

---

8.
LaMgFeNiO6, relaxed, DFT PBE+U; density = 5.6 g cm⁻³; calculated formation energy = -2194 meV/atom; symmetry = Pc, No. 7; total magnetization = 10.01 Bohr magnetons per cell; E_tot = -6.35 eV per atom; relative energy among the computed polymorphs = 0.0000 eV per atom
1.0
-0.390 -5.264 1.409
3.949 0.644 3.499
-5.030 1.821 5.406
O Ni Mg Fe La
12 2 2 2 2
Direct
0.761 0.773 0.058
0.021 0.631 0.742
0.479 0.131 0.242
0.307 0.700 0.057
0.732 0.263 0.949
0.739 0.273 0.558
0.549 0.927 0.756
0.951 0.426 0.256
0.293 0.684 0.441
0.768 0.763 0.449
0.207 0.184 0.941
0.193 0.201 0.557
0.003 0.501 0.998
0.497 0.001 0.498
0.558 0.528 0.248
0.942 0.029 0.748
0.997 0.500 0.502
0.503 0.000 0.002
0.035 0.993 0.249
0.465 0.493 0.749

---

9.
La4MgFeO8, relaxed, DFT PBE+U; density = 6.5 g cm⁻³; calculated formation energy = -3312 meV/atom; symmetry = C2/m, No. 12; total magnetization = 4.00 Bohr magnetons per cell; E_tot = -7.72 eV per atom; relative energy among the computed polymorphs = 0.0000 eV per atom
1.0
-3.745 3.708 1.677
0.976 -0.063 -6.800
-4.082 -3.862 -0.547
La O Fe Mg
4 8 1 1
Direct
0.863 0.727 0.500
0.638 0.276 0.000
0.362 0.724 0.000
0.137 0.273 0.500
0.249 0.000 0.755
0.751 0.000 0.245
0.821 0.641 0.000
0.248 0.000 0.244
0.179 0.359 0.000
0.317 0.634 0.500
0.752 0.000 0.756
0.683 0.366 0.500
0.500 0.000 0.500
0.000 0.000 0.000

---

10.
La4MgFeO8, relaxed, DFT PBE+U; density = 6.0 g cm⁻³; calculated formation energy = -2765 meV/atom; symmetry = C2/m, No. 12; total magnetization = 3.65 Bohr magnetons per cell; E_tot = -7.17 eV per atom; relative energy among the computed polymorphs = 0.5467 eV per atom
1.0
-4.505 2.358 -2.322
-2.105 -4.470 6.273
0.527 4.029 3.060
Mg La O Fe
1 4 8 1
Direct
0.000 0.000 0.500
0.381 0.762 0.000
0.819 0.638 0.500
0.181 0.362 0.500
0.619 0.238 0.000
0.326 0.653 0.500
0.253 0.001 0.760
0.747 0.999 0.240
0.201 0.402 0.000
0.674 0.347 0.500
0.799 0.598 0.000
0.253 0.000 0.240
0.747 0.000 0.760
0.500 0.000 0.500

---

11.
LaMgFeO3, relaxed, DFT PBE+U; density = 4.5 g cm⁻³; calculated formation energy = -1815 meV/atom; symmetry = P4/mmm, No. 123; total magnetization = 3.09 Bohr magnetons per cell; E_tot = -6.07 eV per atom; relative energy among the computed polymorphs = 0.3373 eV per atom
1.0
-0.741 -2.543 5.909
-3.310 -1.749 -1.168
2.054 -3.154 -1.100
La O Fe Mg
1 3 1 1
Direct
0.000 0.000 0.000
0.500 0.000 0.500
0.500 0.500 0.000
0.000 0.500 0.500
0.500 0.500 0.500
0.500 0.000 0.000

---

12.
LaMgFeO3, relaxed, DFT PBE+U; density = 5.0 g cm⁻³; calculated formation energy = -2152 meV/atom; symmetry = Cm, No. 8; total magnetization = 3.01 Bohr magnetons per cell; E_tot = -6.41 eV per atom; relative energy among the computed polymorphs = 0.0000 eV per atom
1.0
-1.816 -2.946 2.890
3.801 -1.929 1.411
0.552 2.384 3.765
Fe La O Mg
1 1 3 1
Direct
0.541 0.541 0.541
0.875 0.875 0.875
0.529 0.027 0.528
0.529 0.528 0.027
0.026 0.529 0.529
0.250 0.250 0.250